A | # BeF2 (PBE, relaxed)
# calculated density	1.3	g cm⁻³
data_BeF2
_space_group_name_H-M_alt 'R -3 m'
_space_group_IT_number 166
_space_group_name_Hall '-R 3 2"'
_cell_length_a 13.1721
_cell_length_b 13.1721
_cell_length_c 14.4820
_cell_angle_alpha 90.00
_cell_angle_beta 90.00
_cell_angle_gamma 120.00
loop_
_atom_site_label
_atom_site_fract_x
_atom_site_fract_y
_atom_site_fract_z
Be1 0.0001 0.2299 0.1032
F1 0.0000 0.2651 0.0000
F2 0.0000 0.3529 0.5000
F3 0.0942 0.5471 0.7940
F4 0.1002 0.2004 0.8818


B | # BeF2 (PBE, relaxed)
# calculated density	2.3	g cm⁻³
data_BeF2
_space_group_name_H-M_alt 'P 1 21 1'
_space_group_IT_number 4
_space_group_name_Hall 'P 2yb'
_cell_length_a 6.930
_cell_length_b 12.622
_cell_length_c 7.167
_cell_angle_alpha 90.00
_cell_angle_beta 117.96
_cell_angle_gamma 90.00
loop_
_atom_site_label
_atom_site_fract_x
_atom_site_fract_y
_atom_site_fract_z
Be1 0.007 0.269 0.095
Be2 0.049 0.495 0.143
Be3 0.056 0.995 0.315
Be4 0.086 0.205 0.734
Be5 0.413 0.500 0.766
Be6 0.445 0.709 0.181
Be7 0.452 0.210 0.360
Be8 0.492 0.437 0.405
F1 0.008 0.379 0.188
F2 0.028 0.742 0.483
F3 0.040 0.084 0.775
F4 0.040 0.278 0.894
F5 0.056 0.003 0.108
F6 0.149 0.493 0.673
F7 0.194 0.198 0.263
F8 0.226 0.714 0.987
F9 0.273 0.991 0.511
F10 0.306 0.507 0.235
F11 0.352 0.209 0.834
F12 0.448 0.701 0.391
F13 0.455 0.428 0.603
F14 0.457 0.621 0.721
F15 0.466 0.963 0.017
F16 0.496 0.325 0.315


Quick one: most stable of them? A


A | # BeNF3 (PBE, relaxed)
# calculated density	1.4	g cm⁻³
data_BeNF3
_space_group_name_H-M_alt 'P 1 21/c 1'
_space_group_IT_number 14
_space_group_name_Hall '-P 2ybc'
_cell_length_a 6.174
_cell_length_b 4.724
_cell_length_c 13.986
_cell_angle_alpha 90.00
_cell_angle_beta 110.71
_cell_angle_gamma 90.00
loop_
_atom_site_label
_atom_site_fract_x
_atom_site_fract_y
_atom_site_fract_z
Be1 0.098 0.086 0.307
N1 0.328 0.600 0.608
F1 0.064 0.099 0.779
F2 0.229 0.646 0.108
F3 0.264 0.527 0.896


B | # BeNF3 (PBE, relaxed)
# calculated density	1.6	g cm⁻³
data_BeNF3
_space_group_name_H-M_alt 'P 1'
_space_group_IT_number 1
_space_group_name_Hall 'P 1'
_cell_length_a 4.713
_cell_length_b 5.749
_cell_length_c 12.654
_cell_angle_alpha 90.13
_cell_angle_beta 90.19
_cell_angle_gamma 101.36
loop_
_atom_site_label
_atom_site_fract_x
_atom_site_fract_y
_atom_site_fract_z
Be1 0.000 0.000 0.000
Be2 0.189 0.601 0.500
Be3 0.501 0.001 0.115
Be4 0.691 0.603 0.614
N1 0.205 0.109 0.693
N2 0.482 0.493 0.921
N3 0.712 0.112 0.421
N4 0.981 0.492 0.193
F1 0.064 0.843 0.922
F2 0.123 0.758 0.422
F3 0.209 0.074 0.095
F4 0.210 0.363 0.910
F5 0.476 0.240 0.705
F6 0.482 0.529 0.520
F7 0.567 0.843 0.192
F8 0.626 0.760 0.692
F9 0.709 0.074 0.020
F10 0.710 0.362 0.205
F11 0.982 0.528 0.595
F12 0.985 0.239 0.410


C | # BeNF3 (PBE, relaxed)
# calculated density	1.8	g cm⁻³
data_BeNF3
_space_group_name_H-M_alt 'P n m a'
_space_group_IT_number 62
_space_group_name_Hall '-P 2ac 2n'
_cell_length_a 4.720
_cell_length_b 4.815
_cell_length_c 12.895
_cell_angle_alpha 90.00
_cell_angle_beta 90.00
_cell_angle_gamma 90.00
loop_
_atom_site_label
_atom_site_fract_x
_atom_site_fract_y
_atom_site_fract_z
Be1 0.106 0.250 0.185
N1 0.028 0.250 0.891
F1 0.191 0.509 0.112
F2 0.208 0.750 0.784


Quick one: most stable of them? A


A | # BeN2F4 (PBE, relaxed)
# calculated density	1.4	g cm⁻³
data_BeN2F4
_space_group_name_H-M_alt 'P n a 21'
_space_group_IT_number 33
_space_group_name_Hall 'P 2c -2n'
_cell_length_a 14.682
_cell_length_b 6.216
_cell_length_c 11.918
_cell_angle_alpha 90.00
_cell_angle_beta 90.00
_cell_angle_gamma 90.00
loop_
_atom_site_label
_atom_site_fract_x
_atom_site_fract_y
_atom_site_fract_z
Be1 0.019 0.165 0.000
Be2 0.224 0.823 0.756
N1 0.049 0.094 0.263
N2 0.137 0.752 0.012
N3 0.177 0.661 0.483
N4 0.192 0.315 0.711
F1 0.014 0.896 0.279
F2 0.042 0.002 0.521
F3 0.091 0.583 0.478
F4 0.098 0.287 0.979
F5 0.134 0.761 0.744
F6 0.190 0.419 0.265
F7 0.219 0.711 0.967
F8 0.236 0.941 0.237


B | # BeN2F4 (PBE, relaxed)
# calculated density	1.2	g cm⁻³
data_BeN2F4
_space_group_name_H-M_alt 'P n a 21'
_space_group_IT_number 33
_space_group_name_Hall 'P 2c -2n'
_cell_length_a 13.620
_cell_length_b 7.395
_cell_length_c 12.228
_cell_angle_alpha 90.00
_cell_angle_beta 90.00
_cell_angle_gamma 90.00
loop_
_atom_site_label
_atom_site_fract_x
_atom_site_fract_y
_atom_site_fract_z
Be1 0.060 0.201 0.000
Be2 0.114 0.798 0.114
N1 0.002 0.634 0.890
N2 0.135 0.722 0.467
N3 0.199 0.292 0.698
N4 0.241 0.734 0.780
F1 0.019 0.792 0.158
F2 0.062 0.117 0.899
F3 0.062 0.491 0.908
F4 0.074 0.257 0.108
F5 0.171 0.794 0.017
F6 0.196 0.830 0.224
F7 0.199 0.112 0.691
F8 0.216 0.819 0.481


Quick one: most stable of them? A


A | # BePbF4 (PBE, relaxed)
# calculated density	5.5	g cm⁻³
data_BePbF4
_space_group_name_H-M_alt 'P n m a'
_space_group_IT_number 62
_space_group_name_Hall '-P 2ac 2n'
_cell_length_a 8.992
_cell_length_b 5.410
_cell_length_c 7.299
_cell_angle_alpha 90.00
_cell_angle_beta 90.00
_cell_angle_gamma 90.00
loop_
_atom_site_label
_atom_site_fract_x
_atom_site_fract_y
_atom_site_fract_z
Be1 0.131 0.250 0.245
Pb1 0.171 0.250 0.723
F1 0.048 0.005 0.287
F2 0.191 0.250 0.044
F3 0.228 0.750 0.870


B | # BePbF4 (PBE, relaxed)
# calculated density	5.2	g cm⁻³
data_BePbF4
_space_group_name_H-M_alt 'P n m a'
_space_group_IT_number 62
_space_group_name_Hall '-P 2ac 2n'
_cell_length_a 9.236
_cell_length_b 5.446
_cell_length_c 7.367
_cell_angle_alpha 90.00
_cell_angle_beta 90.00
_cell_angle_gamma 90.00
loop_
_atom_site_label
_atom_site_fract_x
_atom_site_fract_y
_atom_site_fract_z
Be1 0.077 0.250 0.245
Pb1 0.215 0.250 0.751
F1 0.012 0.509 0.765
F2 0.172 0.250 0.423
F3 0.193 0.250 0.086


Quick one: most stable of them? B


A | # LiBe (PBE, relaxed)
# calculated density	1.2	g cm⁻³
data_LiBe
_space_group_name_H-M_alt 'P 1 21/m 1'
_space_group_IT_number 11
_space_group_name_Hall '-P 2yb'
_cell_length_a 2.296
_cell_length_b 3.613
_cell_length_c 5.528
_cell_angle_alpha 90.00
_cell_angle_beta 94.17
_cell_angle_gamma 90.00
loop_
_atom_site_label
_atom_site_fract_x
_atom_site_fract_y
_atom_site_fract_z
Li1 0.237 0.250 0.155
Be1 0.256 0.250 0.576


B | # LiBe (PBE, relaxed)
# calculated density	1.2	g cm⁻³
data_LiBe
_space_group_name_H-M_alt 'P m -3 m'
_space_group_IT_number 221
_space_group_name_Hall '-P 4 2 3'
_cell_length_a 2.811
_cell_length_b 2.811
_cell_length_c 2.811
_cell_angle_alpha 90.00
_cell_angle_beta 90.00
_cell_angle_gamma 90.00
loop_
_atom_site_label
_atom_site_fract_x
_atom_site_fract_y
_atom_site_fract_z
Li1 0.000 0.000 0.000
Be1 0.500 0.500 0.500


Quick one: most stable of them? A